P) 66
Lattice="5.304 0.000 0.000 -2.321 11.202 0.000 -0.341 -5.574 12.534" Properties=species:S:1:pos:R:3 comment="LiMn2B2O6 PBE with a Hubbard U relaxed" total_magnetization_mub_per_cell=54.0 pbc="T T T"
Li 2.120 7.983 1.328
Li 1.748 -1.300 5.462
Li 1.948 3.473 3.612
Li 0.792 2.906 8.753
Li 0.564 -1.769 10.792
Li -0.779 5.235 7.820
Mn 3.472 -0.510 1.801
Mn 4.522 2.458 2.149
Mn 0.968 4.804 1.196
Mn 4.340 -0.913 7.122
Mn 0.824 1.362 6.061
Mn 3.308 -2.697 9.540
Mn -0.583 8.397 3.002
Mn 1.889 4.360 6.456
Mn -1.663 6.699 5.448
Mn 1.693 0.874 11.167
Mn -1.818 3.231 10.309
Mn -0.828 6.268 10.687
B 1.788 1.946 0.906
B 0.839 0.047 3.238
B -0.662 7.084 0.239
B 0.982 6.055 4.035
B 3.497 1.960 7.513
B 0.685 -3.326 8.302
B 2.003 9.014 4.329
B -0.801 3.626 5.048
B 1.589 -0.424 8.407
B 3.287 -1.489 12.342
B 1.768 5.555 9.232
B 0.825 3.812 11.572
O 3.025 1.482 1.306
O -0.306 0.636 2.722
O 4.213 4.118 1.098
O 1.455 -0.941 2.443
O 1.194 2.893 1.825
O 3.602 -1.709 5.363
O 0.680 6.570 0.364
O 3.825 3.217 3.953
O 1.723 9.544 0.242
O 1.360 0.367 4.447
O 4.821 -2.586 8.119
O 1.481 5.321 3.000
O 4.094 1.039 6.631
O -1.301 7.576 1.331
O 1.444 8.833 3.047
O 1.037 -0.364 7.079
O 0.552 3.161 5.265
O 2.849 -0.988 8.452
O -0.234 6.738 3.924
O 2.131 2.282 7.319
O 1.642 6.064 5.246
O 1.211 -3.237 9.632
O 4.004 -1.839 11.264
O -1.322 4.505 5.993
O 0.915 -0.062 9.506
O -1.942 8.678 4.507
O 1.069 4.868 8.272
O 0.818 -4.023 12.331
O -1.093 2.572 8.480
O 1.937 -1.083 12.206
O -1.044 7.148 7.351
O 1.378 2.941 10.612
O 1.131 6.503 10.029
O -1.597 1.491 11.531
O -2.181 5.280 9.439
O -0.391 4.439 11.217


Q) 66
Lattice="5.253 0.034 0.042 -0.306 13.930 0.021 2.353 4.710 10.331" Properties=species:S:1:pos:R:3 comment="LiMn2B2O6 PBE with a Hubbard U relaxed" total_magnetization_mub_per_cell=54.0 pbc="T T T"
Li 1.542 9.775 2.399
Li 2.874 16.099 7.939
Li 3.067 11.913 4.543
Li 4.134 10.227 9.263
Li 4.290 6.533 5.635
Li 4.470 2.613 2.401
Mn 0.504 12.922 3.115
Mn 0.680 6.963 1.919
Mn 1.571 11.896 0.275
Mn 1.777 4.029 1.343
Mn 3.165 9.647 6.621
Mn 3.279 3.787 5.394
Mn 3.985 14.705 5.003
Mn 4.185 8.898 3.705
Mn 5.649 14.652 8.894
Mn 5.806 6.599 10.127
Mn 6.698 11.722 8.227
Mn 6.817 5.652 7.254
B 1.549 7.821 4.965
B 1.653 2.015 3.669
B 3.028 13.813 9.991
B 3.133 13.835 2.130
B 3.202 7.610 9.019
B 3.294 5.938 3.117
B 3.983 12.484 7.228
B 4.090 10.936 1.446
B 4.122 4.739 8.165
B 4.349 4.966 0.231
B 5.565 16.764 6.691
B 5.755 10.858 5.478
O 0.165 11.298 1.619
O 0.433 5.284 0.465
O 0.723 14.811 4.156
O 1.034 8.347 3.783
O 1.057 2.861 2.789
O 1.171 11.513 4.489
O 1.123 8.613 0.822
O 1.960 13.226 1.630
O 2.161 6.748 8.715
O 2.133 5.570 2.441
O 2.904 8.205 5.312
O 2.987 2.313 4.136
O 3.313 17.699 8.955
O 3.435 13.112 6.186
O 3.391 11.282 7.782
O 3.403 10.271 2.414
O 3.494 11.260 0.220
O 3.560 15.021 9.439
O 3.505 5.116 6.904
O 3.655 13.328 3.326
O 3.609 8.622 8.218
O 3.832 7.410 10.261
O 3.801 3.850 0.908
O 3.722 5.262 4.222
O 3.979 7.054 2.696
O 3.984 0.982 1.512
O 4.223 16.426 6.365
O 4.418 10.449 5.260
O 5.128 12.875 7.889
O 5.261 5.457 8.449
O 5.983 10.402 9.673
O 6.137 7.006 5.824
O 6.309 15.930 7.440
O 6.376 10.477 6.692
O 6.420 4.032 6.159
O 1.995 13.278 9.219


R) 55
Lattice="-5.817 0.000 0.000 2.280 8.946 0.000 -0.448 -3.037 -12.051" Properties=species:S:1:pos:R:3 comment="LiMn2B2O6 PBE with a Hubbard U relaxed" total_magnetization_mub_per_cell=45.0 pbc="T T T"
Li 0.962 3.779 -8.574
Li -2.824 6.322 -1.119
Li -3.316 -1.440 -10.810
Li -4.845 -0.981 -6.132
Li -5.025 2.134 -3.565
Mn -0.120 2.203 -10.941
Mn -0.184 4.360 -6.050
Mn -0.318 -0.752 -3.573
Mn -1.632 5.823 -3.677
Mn -1.764 1.054 -1.337
Mn -2.215 4.644 -10.676
Mn -2.276 0.189 -8.285
Mn -3.762 6.701 -8.675
Mn -3.702 2.020 -6.064
Mn -3.940 3.471 -1.087
B 1.240 5.167 -3.438
B 0.679 5.310 -10.893
B -0.826 5.986 -8.440
B -0.817 1.228 -5.850
B -1.050 4.137 -1.263
B -3.034 1.598 -10.745
B -3.048 4.989 -6.294
B -3.227 -0.041 -3.784
B -4.720 0.428 -1.055
B -5.149 0.777 -8.466
O 0.687 1.996 -9.030
O 0.319 5.447 -4.445
O 0.233 0.733 -2.132
O -2.252 -1.928 -8.145
O -0.004 2.289 -5.475
O -0.300 4.323 -11.044
O -0.367 -0.140 -8.686
O 0.051 3.783 -0.465
O -0.679 4.715 -7.909
O -0.617 -0.047 -5.372
O -1.207 5.394 -1.743
O -1.708 -2.402 -11.416
O -1.791 6.207 -9.448
O -1.813 1.439 -6.808
O -2.146 2.600 -10.410
O -2.028 3.151 -1.443
O -2.041 4.543 -5.416
O -2.147 -0.380 -2.952
O -2.424 8.111 -0.517
O -2.977 0.351 -10.164
O -3.058 6.243 -6.780
O -3.406 1.225 -4.222
O -3.946 1.880 -11.778
O -3.729 6.199 -3.004
O -3.844 1.424 -0.613
O -4.071 4.046 -6.608
O -1.901 7.891 -4.087
O -4.081 4.958 -9.997
O -4.135 0.366 -7.558
O -4.481 3.894 -2.941


Stability check: which of them is most stable? R).


P) 22
Lattice="5.204 0.000 -0.003 2.446 4.593 0.003 -0.382 0.637 10.321" Properties=species:S:1:pos:R:3 comment="LiMn2B2O6 PBE with a Hubbard U relaxed" total_magnetization_mub_per_cell=18.0 pbc="T T T"
Li 4.515 0.870 4.392
Li 4.568 1.335 9.553
Mn 1.850 2.429 3.871
Mn 3.027 0.973 1.367
Mn 4.444 4.420 9.032
Mn 5.176 2.697 6.527
B 1.817 2.935 9.036
B 2.623 1.068 6.405
B 4.396 4.050 3.876
B 5.665 2.461 1.245
O 1.684 2.565 1.947
O 1.799 2.019 5.780
O 2.422 4.147 9.127
O 2.514 1.763 9.353
O 2.709 0.600 3.518
O 3.042 4.086 3.966
O 3.962 1.083 6.273
O 4.403 4.631 7.107
O 5.022 1.286 1.113
O 5.103 2.884 4.193
O 5.213 3.635 0.620
O 5.656 2.803 8.679


Q) 22
Lattice="1.217 5.639 -1.042 6.793 -4.749 -4.052 -3.568 -1.876 -3.384" Properties=species:S:1:pos:R:3 comment="LiMn2B2O6 PBE with a Hubbard U relaxed" total_magnetization_mub_per_cell=18.0 pbc="T T T"
Li 1.186 2.384 -2.317
Li 3.255 -3.369 -6.161
Mn 0.863 0.907 -4.985
Mn 5.899 -0.424 -5.258
Mn -1.458 -0.561 -3.220
Mn 3.579 -1.893 -3.493
B -1.453 2.458 -3.640
B 3.540 1.107 -3.840
B 0.902 -2.092 -4.638
B 5.895 -3.444 -4.838
O -0.463 3.290 -3.078
O 4.527 2.067 -3.542
O 2.228 1.418 -3.682
O -1.039 1.342 -4.397
O 4.012 -0.136 -4.236
O 0.426 1.118 -1.028
O 4.015 -2.104 -7.450
O 0.429 -0.850 -4.242
O 5.481 -2.327 -4.081
O 2.214 -2.404 -4.796
O -0.085 -3.053 -4.936
O 4.905 -4.276 -5.400


Stability check: which of them is most stable? Q).


P) 66
Lattice="-0.006 2.744 4.595 -3.411 -8.431 4.634 13.001 -5.080 0.107" Properties=species:S:1:pos:R:3 comment="LiMn2B2O6 PBE with a Hubbard U relaxed" total_magnetization_mub_per_cell=54.0 pbc="T T T"
Li 12.422 -5.865 1.481
Li 6.483 -7.742 5.306
Li 7.941 -3.443 3.051
Li 2.143 -5.156 6.880
Li 3.640 -0.788 4.463
Li -1.298 -1.152 5.920
Mn 8.481 -11.117 5.445
Mn 9.591 -8.266 5.828
Mn 9.552 -4.880 0.906
Mn 8.858 -5.167 5.212
Mn 4.280 -8.564 7.026
Mn 4.385 -5.253 2.125
Mn 4.998 -5.574 7.208
Mn 5.372 -2.315 2.353
Mn 0.657 -5.739 4.170
Mn -0.171 -5.898 8.497
Mn 0.271 -2.651 3.632
Mn 0.908 0.421 3.823
B 10.315 -6.920 3.097
B 7.924 -9.123 3.210
B 11.010 -3.934 3.500
B 7.289 -9.378 7.447
B 2.863 -9.447 4.398
B 5.885 -4.259 4.616
B 3.608 -6.536 4.750
B 6.676 -1.290 4.992
B 2.471 -1.394 1.844
B -1.537 -6.850 5.868
B 1.495 -1.652 6.081
B -0.560 -3.868 6.305
O 11.505 -7.451 2.691
O 8.816 -9.596 4.184
O 11.176 -4.125 2.111
O 12.044 -3.928 4.355
O 10.087 -6.634 4.463
O 9.329 -6.625 2.159
O 8.522 -9.741 6.874
O 6.790 -8.467 3.543
O 9.672 -3.779 3.969
O 8.258 -6.624 6.436
O 7.746 -3.971 1.224
O 6.212 -9.096 6.686
O 7.236 -9.320 8.835
O 7.124 -4.703 4.325
O 5.387 -3.709 0.833
O 4.662 -6.871 5.632
O 6.839 -1.674 3.643
O 3.772 -6.888 3.392
O 5.387 -4.172 5.916
O 2.858 -9.488 5.796
O 5.021 -3.831 3.583
O 4.116 -6.901 8.370
O 2.494 -5.900 5.158
O 2.591 -1.653 0.445
O 3.565 -1.411 2.639
O 1.754 -6.485 8.264
O 1.116 -4.380 2.834
O -0.261 -7.094 5.274
O 2.726 -2.004 5.677
O 1.184 -1.151 2.333
O 0.355 -4.372 7.288
O -0.247 -4.208 5.007
O -2.686 -6.940 5.199
O -1.510 -6.610 7.245
O 0.520 -1.233 5.165
O -1.571 -3.040 6.607


Q) 44
Lattice="5.325 0.000 0.000 0.124 9.097 0.000 0.376 0.246 10.320" Properties=species:S:1:pos:R:3 comment="LiMn2B2O6 PBE with a Hubbard U relaxed" total_magnetization_mub_per_cell=36.0 pbc="T T T"
Li 4.720 0.169 6.816
Li 2.232 4.836 6.940
Li 2.045 4.519 1.668
Li 1.068 8.996 3.552
Mn 4.832 3.047 6.550
Mn 4.676 6.307 1.288
Mn 3.827 7.595 9.007
Mn 3.720 1.590 3.949
Mn 2.128 7.857 6.404
Mn 1.978 1.571 1.388
Mn 1.177 3.317 9.191
Mn 1.042 6.028 3.973
B 4.808 6.121 6.564
B 4.541 3.205 1.386
B 3.835 1.688 9.004
B 3.792 7.676 3.838
B 2.000 1.774 6.516
B 1.923 7.575 1.282
B 1.316 6.429 9.032
B 1.068 2.975 3.854
O 5.383 6.575 9.652
O 5.246 2.851 4.636
O 4.566 8.764 4.108
O 4.525 2.815 8.480
O 4.382 6.562 3.191
O 4.198 0.446 8.666
O 4.205 7.327 7.057
O 4.097 4.977 6.527
O 3.922 4.402 1.283
O 3.872 2.074 1.876
O 3.339 1.753 6.102
O 3.170 7.454 0.647
O 2.730 1.997 9.818
O 2.462 7.607 4.254
O 1.937 7.607 8.615
O 1.850 5.217 8.831
O 1.658 4.142 3.558
O 1.596 1.746 3.346
O 1.481 2.998 6.978
O 1.415 8.779 1.601
O 1.291 6.367 1.620
O 1.223 0.668 6.422
O 0.799 6.210 6.105
O 0.562 3.055 0.988


Stability check: which of them is most stable? Q).